Entry from Materials Project: an optimized crystal structure of Sr3NdMn2O8 (PBE with a Hubbard U).

It has space group Amm2 (No. 38), with a = 5.5455 Å, b = 5.5340 Å, c = 12.3659 Å, α = 90.00°, β = 90.00° and γ = 90.00°. The distinct sites, in fractional coordinates, are Sr at (0.0000, 0.0000, 0.0000), Sr at (0.0000, 0.0000, 0.2858), Sr at (0.5000, 0.0000, 0.7878), Nd at (0.5000, 0.0000, 0.5066), Mn at (0.0000, 0.0000, 0.6451), Mn at (0.5000, 0.0000, 0.1445), O at (0.0000, 0.0000, 0.4835), O at (0.0000, 0.0000, 0.8021), O at (0.2587, 0.2467, 0.6396), O at (0.5000, 0.0000, 0.3136) and O at (0.5000, 0.0000, 0.9844).

The calculation puts the total energy at -198.17 eV per cell. Its formation energy is -2.87 eV/atom. Its MP2020-corrected energy is -0.567 Ry per atom. The calculation puts the total magnetization at 7.00 μB per formula unit.